No. 1
10
Lattice="1.889 -1.423 -5.340 -3.169 1.425 -4.695 1.880 4.165 -3.638" Properties=species:S:1:pos:R:3 comment="PBE KNdZrSnO6, relaxed" formation_enthalpy_0k_ev_per_atom=-2.887 pbc="T T T"
O -0.501 3.849 -7.591
O -1.448 1.751 -5.758
O -0.496 1.035 -8.448
O 1.096 3.132 -5.226
O 2.048 2.415 -7.916
O 1.101 0.317 -6.083
Zr 0.300 2.083 -6.837
K 0.150 1.042 -3.418
Sn 0.000 0.000 0.000
Nd 0.450 3.125 -10.255

No. 2
108
Lattice="8.865 0.000 0.000 -4.433 7.678 0.000 0.000 0.000 23.325" Properties=species:S:1:pos:R:3 comment="PBE NaHfZrP3O12, relaxed" formation_enthalpy_0k_ev_per_atom=-3.206 pbc="T T T"
P 1.863 7.664 17.516
P 2.565 5.118 21.382
P -1.282 7.340 21.382
P -1.283 2.898 21.382
P 3.145 0.329 13.607
P -2.585 5.132 9.710
P 7.008 2.559 13.607
P 5.721 4.764 1.935
P 7.568 2.218 5.836
P 2.569 0.014 5.836
P -3.136 5.459 17.516
P 3.160 5.445 5.836
P 1.878 2.573 1.935
P 1.304 7.350 9.710
P 3.146 4.789 13.607
P 5.698 0.340 1.935
P 1.273 2.232 17.516
P 1.281 2.873 9.710
O 5.445 1.208 0.688
O 0.966 6.419 17.686
O -1.609 5.305 17.686
O 0.643 3.632 17.686
O -0.663 3.617 5.991
O 3.795 4.048 5.661
O 3.391 1.189 12.355
O -1.716 5.348 10.966
O 3.782 6.186 13.760
O 1.015 1.353 18.755
O -2.810 7.491 21.205
O -0.969 6.443 5.991
O 5.464 3.909 3.191
O 0.670 6.703 8.464
O 3.400 6.310 4.579
O -1.707 4.906 8.464
O 2.748 2.777 3.191
O 0.658 1.597 16.252
O 1.684 5.332 22.633
O 5.097 1.066 9.869
O -1.029 3.764 20.133
O 2.757 2.358 0.688
O 5.097 6.122 18.755
O -1.614 4.921 1.764
O 0.980 1.323 2.093
O 6.140 2.343 12.355
O 7.899 1.309 13.760
O 1.057 6.490 10.966
O 7.186 0.202 18.755
O -0.657 3.553 22.633
O 2.808 2.730 9.869
O 3.783 1.062 21.559
O 3.463 1.262 5.661
O -0.658 6.687 20.133
O -0.651 6.610 13.454
O 1.632 5.295 5.991
O 0.659 3.517 10.966
O 3.777 6.103 7.082
O 5.394 3.881 9.869
O 5.097 4.111 0.688
O 3.766 4.146 12.355
O 3.460 6.365 21.205
O 0.636 6.615 1.764
O -2.732 7.467 4.579
O 1.618 4.936 13.454
O -0.650 1.499 21.205
O 5.090 4.062 17.356
O 3.461 3.871 21.559
O 1.688 4.904 20.133
O -0.967 3.809 13.454
O -1.027 6.470 22.633
O 7.829 1.355 7.082
O 5.406 1.238 17.356
O 3.768 0.975 14.860
O 0.978 3.819 1.764
O 0.645 1.480 9.538
O 2.829 7.496 9.538
O 6.054 2.745 21.559
O 5.089 6.167 2.093
O 1.692 0.220 7.082
O -3.379 6.309 16.252
O 6.041 2.368 5.661
O 7.229 0.187 2.093
O -0.668 1.578 4.579
O 1.038 3.746 8.464
O 2.720 7.449 16.252
O 1.617 0.182 13.760
O 6.137 2.776 14.860
O 3.393 3.927 14.860
O -3.474 6.379 9.538
O 5.086 0.991 3.191
O 2.802 2.377 17.356
Na 0.000 0.000 23.324
Na 4.433 2.559 7.773
Na 4.433 2.559 19.441
Na 0.000 5.118 3.885
Na 0.000 5.118 15.553
Na 0.000 0.000 11.661
Hf 0.000 5.118 18.989
Hf 4.433 2.559 22.855
Hf 4.433 2.559 4.345
Hf 0.000 0.000 19.911
Hf 0.000 5.118 0.458
Hf 0.000 0.000 8.227
Zr 0.000 5.118 12.117
Zr 0.000 0.000 3.414
Zr 4.433 2.559 11.196
Zr 0.000 0.000 15.100
Zr 4.433 2.559 16.027
Zr 0.000 5.118 7.308

No. 3
14
Lattice="-2.687 -5.411 0.912 1.359 0.328 5.948 -6.756 3.581 1.346" Properties=species:S:1:pos:R:3 comment="PBE LaGa6, relaxed" formation_enthalpy_0k_ev_per_atom=-0.365 pbc="T T T"
Ga -4.088 -2.981 2.976
Ga -4.126 0.980 5.904
Ga -6.018 -1.390 2.712
Ga -6.329 0.461 4.559
Ga -5.603 -1.758 5.775
Ga -1.935 0.387 4.819
Ga -1.091 0.578 0.217
Ga -4.541 1.348 2.841
Ga -5.665 3.003 1.129
Ga -2.879 -0.308 1.935
Ga -1.755 -1.963 3.647
Ga -3.145 -2.286 5.860
La -1.343 -2.705 0.456
La 0.679 0.164 2.974

No. 4
9
Lattice="0.000 0.000 -4.679 -3.788 -6.560 0.000 -3.788 6.560 0.000" Properties=species:S:1:pos:R:3 comment="PBE YMgTl, relaxed" formation_enthalpy_0k_ev_per_atom=-0.351 pbc="T T T"
Tl -3.788 2.187 -2.340
Tl 0.000 0.000 0.000
Tl -3.788 -2.187 -2.340
Mg -1.839 0.000 -2.340
Mg -2.868 -4.967 -2.340
Mg -2.868 4.967 -2.340
Y -1.632 -2.827 0.000
Y -4.311 0.000 0.000
Y -1.632 2.827 0.000

No. 5
22
Lattice="0.000 5.333 5.333 5.333 0.000 5.333 5.333 5.333 0.000" Properties=species:S:1:pos:R:3 comment="PBE La2Hf2O7, relaxed" formation_enthalpy_0k_ev_per_atom=-3.594 pbc="T T T"
Hf 4.000 4.000 1.333
Hf 1.333 4.000 4.000
Hf 4.000 1.333 4.000
Hf 1.333 1.333 1.333
O 8.124 5.333 5.333
O 2.667 2.667 0.124
O 5.209 2.667 2.667
O 5.333 8.124 5.333
O 2.667 5.209 2.667
O 5.333 5.333 8.124
O 2.667 2.667 5.209
O 0.124 2.667 2.667
O 5.333 2.543 5.333
O 2.667 0.124 2.667
O 2.543 5.333 5.333
O 0.000 0.000 0.000
O 2.667 2.667 2.667
O 5.333 5.333 2.543
La 6.667 6.667 6.667
La 6.667 4.000 4.000
La 4.000 4.000 6.667
La 4.000 6.667 4.000

No. 6
4
Lattice="-4.076 -1.071 3.498 -2.314 4.072 2.839 -5.105 1.599 -1.172" Properties=species:S:1:pos:R:3 comment="PBE AcEuZn2, relaxed" formation_enthalpy_0k_ev_per_atom=-0.269 pbc="T T T"
Zn -2.874 1.150 1.291
Zn -8.621 3.449 3.874
Eu 0.000 0.000 0.000
Ac -5.747 2.300 2.582

No. 7
4
Lattice="-1.579 3.379 -1.306 -1.056 -1.792 -3.361 -3.466 -0.993 1.619" Properties=species:S:1:pos:R:3 comment="PBE HfRh3, relaxed" formation_enthalpy_0k_ev_per_atom=-0.746 pbc="T T T"
Hf 0.000 0.000 0.000
Rh -1.317 0.794 -2.333
Rh -2.261 -1.393 -0.871
Rh -2.522 1.193 0.156

No. 8
20
Lattice="-3.689 -1.676 -5.522 -2.485 -6.361 -0.527 -6.741 -0.999 0.689" Properties=species:S:1:pos:R:3 comment="PBE CaAl3PSO14, relaxed" formation_enthalpy_0k_ev_per_atom=-2.287 pbc="T T T"
O -7.660 -5.360 -3.180
O -3.421 -2.077 -2.817
O -5.182 -3.626 -2.151
O -4.489 -1.840 -0.643
O -8.403 -7.226 -4.751
O -2.999 -3.717 -1.069
O -4.861 -6.457 -1.685
O -8.077 -2.602 -3.686
O -9.508 -6.981 -2.502
O -5.657 -3.360 -4.986
O -9.944 -5.284 -4.311
O -7.283 -5.693 -0.390
O -7.674 -2.913 -0.881
O -5.269 -6.140 -4.488
S -4.066 -2.845 -1.688
P -8.858 -6.198 -3.677
Al -11.056 -8.186 -2.607
Al -11.654 -5.858 -5.088
Al -9.539 -8.522 -5.692
Ca -0.003 -0.002 -0.001

Number 1: VASP energy -7.2871 eV/atom, mass density 5.766 Mg/m³. Number 2: VASP energy -8.0502 eV/atom, mass density 3.625 Mg/m³. Number 3: VASP energy -3.6660 eV/atom, mass density 6.385 Mg/m³. Number 4: VASP energy -3.8270 eV/atom, mass density 6.804 Mg/m³. Number 5: VASP energy -9.0136 eV/atom, mass density 8.174 Mg/m³. Number 6: VASP energy -4.4939 eV/atom, mass density 7.288 Mg/m³. Number 7: VASP energy -8.7589 eV/atom, mass density 13.104 Mg/m³. Number 8: VASP energy -6.4098 eV/atom, mass density 2.916 Mg/m³.